# 1
Material: Na14Mg5Sn3P12O48
Method: DFT, PBE-GGA
State: optimized geometry

Energy of formation from the pure elements (eV/atom): -2.68
E (MP2020) (eV per cell): -1682.03
M_tot (μB/f.u.): 0.0
SG: P1

Geometry as POSCAR:
```
Na14Mg5Sn3P12O48
1.0
-7.185 -14.310 8.177
5.757 5.297 4.424
-16.885 12.440 7.011
Na Mg Sn P O
42 15 9 36 144
direct
0.185 0.360 0.247
0.685 0.362 0.248
0.994 0.629 0.248
0.494 0.628 0.247
0.319 0.629 0.747
0.820 0.630 0.747
0.185 0.012 0.747
0.686 0.012 0.747
0.155 0.343 0.579
0.656 0.344 0.579
0.016 0.688 0.579
0.516 0.687 0.579
0.328 0.968 0.578
0.828 0.968 0.579
0.156 0.970 0.079
0.653 0.963 0.082
0.328 0.688 0.079
0.019 0.344 0.081
0.516 0.345 0.078
0.481 0.665 0.918
0.987 0.678 0.915
0.352 0.037 0.919
0.168 0.295 0.919
0.662 0.300 0.915
0.482 0.297 0.419
0.982 0.297 0.419
0.167 0.037 0.419
0.667 0.037 0.419
0.351 0.665 0.419
0.851 0.666 0.419
0.000 0.000 0.495
0.500 0.000 0.495
0.989 0.992 0.995
0.499 0.000 0.996
0.340 0.334 0.832
0.841 0.325 0.828
0.333 0.320 0.332
0.833 0.321 0.332
0.172 0.678 0.163
0.678 0.679 0.161
0.161 0.656 0.663
0.661 0.657 0.663
0.999 0.001 0.351
0.499 0.001 0.351
0.997 0.002 0.852
0.499 0.001 0.851
0.337 0.334 0.684
0.837 0.334 0.683
0.333 0.326 0.184
0.833 0.327 0.185
0.333 0.332 0.985
0.334 0.333 0.485
0.834 0.333 0.485
0.167 0.667 0.017
0.671 0.668 0.018
0.167 0.667 0.517
0.667 0.667 0.517
0.999 0.002 0.652
0.500 0.002 0.652
0.996 0.995 0.151
0.499 0.000 0.152
0.833 0.330 0.984
0.169 0.672 0.317
0.669 0.672 0.317
0.164 0.662 0.817
0.667 0.666 0.818
0.148 0.999 0.251
0.648 0.999 0.252
0.351 0.703 0.252
0.851 0.704 0.253
0.000 0.297 0.252
0.500 0.299 0.253
0.148 0.297 0.752
0.649 0.299 0.752
0.000 0.703 0.752
0.501 0.703 0.752
0.351 0.000 0.753
0.851 0.000 0.752
0.481 0.332 0.583
0.981 0.332 0.583
0.185 0.038 0.585
0.685 0.038 0.585
0.334 0.630 0.585
0.834 0.630 0.585
0.481 0.630 0.085
0.981 0.631 0.085
0.334 0.038 0.083
0.833 0.039 0.085
0.184 0.331 0.085
0.685 0.334 0.086
0.315 0.666 0.918
0.815 0.666 0.918
0.018 0.370 0.920
0.518 0.371 0.919
0.167 0.964 0.918
0.667 0.963 0.918
0.315 0.964 0.419
0.815 0.964 0.419
0.167 0.370 0.418
0.667 0.370 0.418
0.018 0.667 0.418
0.518 0.666 0.418
0.104 0.022 0.307
0.604 0.023 0.307
0.407 0.791 0.307
0.906 0.787 0.308
0.491 0.191 0.308
0.991 0.191 0.308
0.104 0.185 0.807
0.605 0.186 0.807
0.489 0.792 0.808
0.989 0.792 0.808
0.404 0.018 0.808
0.908 0.019 0.805
0.388 0.960 0.694
0.886 0.958 0.692
0.094 0.222 0.692
0.595 0.222 0.692
0.020 0.819 0.693
0.520 0.819 0.693
0.389 0.811 0.192
0.890 0.817 0.195
0.019 0.221 0.194
0.520 0.223 0.193
0.089 0.959 0.193
0.590 0.960 0.193
0.438 0.360 0.638
0.938 0.360 0.638
0.238 0.121 0.642
0.738 0.121 0.642
0.321 0.523 0.642
0.821 0.522 0.642
0.439 0.524 0.142
0.937 0.519 0.140
0.320 0.125 0.138
0.820 0.127 0.139
0.238 0.357 0.142
0.739 0.352 0.142
0.223 0.296 0.028
0.723 0.294 0.027
0.425 0.554 0.028
0.927 0.553 0.025
0.352 0.146 0.025
0.856 0.157 0.027
0.223 0.150 0.528
0.723 0.150 0.528
0.351 0.553 0.528
0.851 0.553 0.528
0.427 0.295 0.525
0.927 0.295 0.525
0.271 0.694 0.972
0.768 0.685 0.971
0.072 0.454 0.976
0.575 0.455 0.975
0.152 0.847 0.972
0.655 0.852 0.973
0.273 0.850 0.474
0.773 0.850 0.474
0.153 0.458 0.472
0.653 0.458 0.472
0.076 0.696 0.472
0.576 0.696 0.472
0.058 0.631 0.358
0.558 0.631 0.358
0.255 0.884 0.362
0.755 0.884 0.362
0.184 0.484 0.358
0.684 0.484 0.358
0.056 0.491 0.863
0.560 0.492 0.862
0.184 0.884 0.858
0.683 0.888 0.858
0.257 0.631 0.859
0.760 0.625 0.858
0.010 0.830 0.411
0.510 0.829 0.411
0.404 0.979 0.412
0.904 0.980 0.412
0.086 0.191 0.411
0.585 0.191 0.412
0.012 0.196 0.912
0.510 0.193 0.911
0.086 0.981 0.911
0.587 0.983 0.912
0.404 0.829 0.912
0.906 0.817 0.912
0.490 0.164 0.589
0.990 0.164 0.589
0.091 0.020 0.589
0.591 0.020 0.589
0.418 0.816 0.589
0.918 0.816 0.589
0.490 0.817 0.089
0.993 0.817 0.088
0.419 0.022 0.089
0.919 0.030 0.089
0.091 0.163 0.089
0.593 0.162 0.088
0.336 0.152 0.746
0.836 0.152 0.746
0.238 0.318 0.746
0.739 0.318 0.746
0.420 0.528 0.745
0.919 0.528 0.745
0.341 0.523 0.246
0.841 0.523 0.246
0.424 0.327 0.246
0.924 0.328 0.246
0.235 0.161 0.244
0.736 0.161 0.245
0.323 0.503 0.921
0.821 0.495 0.922
0.429 0.354 0.922
0.928 0.361 0.922
0.249 0.143 0.921
0.748 0.150 0.921
0.324 0.144 0.422
0.824 0.144 0.422
0.249 0.354 0.421
0.748 0.354 0.421
0.429 0.503 0.421
0.929 0.503 0.421
0.172 0.489 0.079
0.670 0.485 0.080
0.071 0.652 0.079
0.573 0.656 0.079
0.255 0.854 0.078
0.753 0.863 0.077
0.172 0.855 0.579
0.672 0.855 0.579
0.255 0.655 0.579
0.755 0.655 0.579
0.073 0.490 0.578
0.573 0.490 0.578
0.152 0.828 0.254
0.652 0.829 0.254
0.258 0.680 0.254
0.758 0.679 0.254
0.086 0.481 0.254
0.586 0.481 0.254
0.160 0.483 0.755
0.660 0.484 0.755
0.086 0.695 0.754
0.587 0.697 0.755
0.259 0.828 0.755
0.759 0.829 0.755
```

---

# 2
Material: Na8Mg3SnP6O24
Method: DFT, PBE-GGA
State: optimized geometry

Energy of formation from the pure elements (eV/atom): -2.71
E (MP2020) (eV per cell): -852.72
M_tot (μB/f.u.): 0.0
SG: P3

Geometry as POSCAR:
```
Na8Mg3SnP6O24
1.0
-1.496 8.648 2.100
-4.963 -6.495 3.823
14.574 -1.467 16.425
Na Mg Sn P O
24 9 3 18 72
direct
0.635 0.999 0.252
0.364 0.365 0.252
0.001 0.636 0.252
0.643 0.634 0.743
0.991 0.357 0.743
0.366 0.009 0.743
0.297 0.333 0.581
0.037 0.703 0.581
0.667 0.963 0.581
0.297 0.965 0.092
0.668 0.703 0.092
0.035 0.332 0.092
0.972 0.676 0.916
0.705 0.028 0.916
0.324 0.295 0.916
0.977 0.300 0.409
0.323 0.023 0.409
0.700 0.677 0.409
0.000 0.000 0.497
0.000 0.000 0.006
0.667 0.333 0.828
0.667 0.333 0.327
0.333 0.667 0.173
0.333 0.667 0.659
0.000 0.000 0.347
0.000 0.000 0.848
0.000 0.000 0.650
0.000 0.000 0.155
0.667 0.333 0.682
0.667 0.333 0.186
0.333 0.667 0.020
0.333 0.667 0.515
0.333 0.667 0.316
0.667 0.333 0.987
0.667 0.333 0.484
0.333 0.667 0.817
0.296 0.999 0.250
0.703 0.704 0.250
0.001 0.297 0.250
0.295 0.295 0.752
0.000 0.705 0.752
0.705 0.000 0.752
0.964 0.333 0.586
0.369 0.036 0.586
0.667 0.631 0.586
0.964 0.631 0.084
0.667 0.036 0.084
0.369 0.333 0.084
0.629 0.666 0.919
0.037 0.371 0.919
0.334 0.963 0.919
0.629 0.961 0.418
0.333 0.371 0.418
0.039 0.667 0.418
0.213 0.027 0.306
0.814 0.787 0.306
0.973 0.186 0.306
0.214 0.192 0.810
0.977 0.786 0.810
0.808 0.023 0.810
0.783 0.966 0.695
0.183 0.217 0.695
0.034 0.817 0.695
0.784 0.813 0.192
0.029 0.216 0.192
0.187 0.971 0.192
0.878 0.362 0.641
0.484 0.122 0.641
0.638 0.516 0.641
0.871 0.510 0.136
0.639 0.129 0.136
0.490 0.361 0.136
0.444 0.297 0.022
0.853 0.556 0.022
0.703 0.147 0.022
0.451 0.152 0.527
0.701 0.549 0.527
0.848 0.299 0.527
0.541 0.691 0.973
0.151 0.459 0.973
0.309 0.849 0.973
0.548 0.858 0.476
0.310 0.452 0.476
0.142 0.690 0.476
0.116 0.633 0.362
0.516 0.884 0.362
0.367 0.484 0.362
0.112 0.484 0.859
0.373 0.888 0.859
0.516 0.627 0.859
0.012 0.823 0.413
0.811 0.988 0.413
0.177 0.189 0.413
0.015 0.192 0.911
0.177 0.985 0.911
0.808 0.823 0.911
0.979 0.171 0.589
0.192 0.021 0.589
0.829 0.808 0.589
0.981 0.809 0.087
0.828 0.019 0.087
0.191 0.172 0.087
0.679 0.156 0.747
0.477 0.321 0.747
0.844 0.523 0.747
0.684 0.523 0.245
0.838 0.316 0.245
0.477 0.162 0.245
0.645 0.499 0.921
0.854 0.355 0.921
0.501 0.146 0.921
0.646 0.148 0.422
0.502 0.354 0.422
0.852 0.498 0.422
0.354 0.495 0.077
0.141 0.646 0.077
0.505 0.859 0.077
0.354 0.859 0.579
0.505 0.646 0.579
0.141 0.495 0.579
0.316 0.838 0.255
0.522 0.684 0.255
0.162 0.478 0.255
0.313 0.481 0.756
0.169 0.687 0.756
0.519 0.831 0.756
```